(1)
Here is a relaxed structure of BaMgWF7 from the Materials Project. Energies are from GGA+U.

The value obtained for the energy with MP2020 corrections is -6.411 eV per atom. Its calculated density is 5.5 g/cm3. As for the energy relative to the elements: -3423 meV per atom.

Cell: 5.7225 10.2285 9.9376 Å, 90.00 92.57 90.00°
Space group P2_1/c (No. 14)
Inequivalent atoms, fractional coordinates:
Ba  0.2326  0.1724  0.0031 (multiplicity 4)
Mg  0.1871  0.6072  0.8100 (multiplicity 4)
W  0.3064  0.6118  0.1852 (multiplicity 4)
F  0.0112  0.7183  0.2502 (multiplicity 4)
F  0.1047  0.5414  0.6312 (multiplicity 4)
F  0.1258  0.0595  0.6244 (multiplicity 4)
F  0.2362  0.6970  0.9916 (multiplicity 4)
F  0.3663  0.0459  0.3766 (multiplicity 4)
F  0.3966  0.5417  0.3774 (multiplicity 4)
F  0.4737  0.7120  0.7506 (multiplicity 4)

=====

(2)
Here is a relaxed structure of Ba2Mn2F11 from the Materials Project. Energies are from GGA+U.

The value obtained for the energy with MP2020 corrections is -6.097 eV per atom. Its calculated density is 4.0 g/cm3. As for the energy relative to the elements: -3216 meV per atom.

Cell: 7.7361 7.7361 14.0875 Å, 90.00 90.00 120.00°
Space group P3_2 (No. 145)
Inequivalent atoms, fractional coordinates:
Ba  0.1494  0.4135  0.0000 (multiplicity 3)
Ba  0.5385  0.1640  0.8474 (multiplicity 3)
Mn  0.0391  0.5793  0.7581 (multiplicity 3)
Mn  0.1957  0.0457  0.5733 (multiplicity 3)
F  0.0366  0.7807  0.5972 (multiplicity 3)
F  0.1007  0.0090  0.9323 (multiplicity 3)
F  0.1255  0.0243  0.4478 (multiplicity 3)
F  0.1350  0.5159  0.6517 (multiplicity 3)
F  0.2566  0.5594  0.4634 (multiplicity 3)
F  0.2889  0.1004  0.6959 (multiplicity 3)
F  0.3596  0.0241  0.1691 (multiplicity 3)
F  0.3686  0.3225  0.5490 (multiplicity 3)
F  0.4035  0.0036  0.5322 (multiplicity 3)
F  0.4226  0.3485  0.0274 (multiplicity 3)
F  0.5219  0.3008  0.3759 (multiplicity 3)

=====

(3)
Here is a relaxed structure of Ba3MnF12 from the Materials Project. Energies are from GGA+U.

The energy above the most stable polymorph in this dataset is 26 meV per atom. The value obtained for the energy with MP2020 corrections is -5.259 eV per atom. Its calculated density is 3.0 g/cm3. As for the energy relative to the elements: -2890 meV per atom.

Cell: 8.5451 15.2980 6.7228 Å, 90.00 119.34 90.00°
Space group C2/m (No. 12)
Inequivalent atoms, fractional coordinates:
Ba  0.0000  0.0000  0.0000 (multiplicity 2)
Ba  0.2500  0.2500  0.5000 (multiplicity 4)
Mn  0.0000  0.5000  0.5000 (multiplicity 2)
F  0.0339  0.1115  0.3067 (multiplicity 8)
F  0.0992  0.2396  0.7653 (multiplicity 8)
F  0.1511  0.4161  0.6889 (multiplicity 8)

=====

(4)
Here is a relaxed structure of BaMnF4 from the Materials Project. Energies are from GGA+U.

For the largest piezoelectric modulus, the calculation gives 1.452 C/m2. The value obtained for the energy with MP2020 corrections is -6.681 eV per atom. Its calculated density is 4.4 g/cm3. As for the energy relative to the elements: -3558 meV per atom.

Cell: 4.2811 15.4517 6.0981 Å, 90.00 90.00 90.00°
Space group Cmc2_1 (No. 36)
Inequivalent atoms, fractional coordinates:
Ba  0.0000  0.1577  0.0000 (multiplicity 4)
Mn  0.0000  0.4164  0.9492 (multiplicity 4)
F  0.0000  0.0813  0.4225 (multiplicity 4)
F  0.0000  0.2990  0.7548 (multiplicity 4)
F  0.0000  0.3355  0.2275 (multiplicity 4)
F  0.0000  0.4624  0.6053 (multiplicity 4)